[1]
Na2Sr3ZrC6O21: optimized geometry, PBE.

The structure in CIF format:
```
data_Na2Sr3ZrC6O21
_cell_length_a 7.051
_cell_length_b 8.915
_cell_length_c 8.951
_cell_angle_alpha 109.95
_cell_angle_beta 102.13
_cell_angle_gamma 111.78
_symmetry_space_group_name_H-M 'P 1'
_symmetry_Int_Tables_number 1
loop_
_symmetry_equiv_pos_as_xyz
'x,y,z'
loop_
_atom_site_label
_atom_site_fract_x
_atom_site_fract_y
_atom_site_fract_z
Na1 0.000 0.000 0.000
Na2 0.317 0.386 0.647
Sr1 0.259 0.922 0.328
Sr2 0.509 0.259 0.978
Sr3 0.936 0.570 0.654
Zr1 0.649 0.721 0.324
C1 0.135 0.951 0.646
C2 0.316 0.577 0.014
C3 0.423 0.678 0.528
C4 0.498 0.305 0.326
C5 0.819 0.620 0.995
C6 0.838 0.085 0.416
O1 0.139 0.946 0.788
O2 0.177 0.507 0.864
O3 0.275 0.094 0.645
O4 0.311 0.640 0.615
O5 0.342 0.681 0.383
O6 0.359 0.156 0.185
O7 0.376 0.480 0.077
O8 0.423 0.751 0.125
O9 0.508 0.311 0.473
O10 0.631 0.715 0.569
O11 0.638 0.444 0.317
O12 0.658 0.028 0.877
O13 0.669 0.481 0.854
O14 0.680 0.999 0.460
O15 0.818 0.629 0.144
O16 0.857 0.171 0.926
O17 0.890 0.975 0.313
O18 0.914 0.317 0.070
O19 0.931 0.255 0.469
O20 0.979 0.749 0.994
O21 0.996 0.805 0.498
```

Summary:
* DFT formation energy: -1.84 eV/atom
* volume: 13.7 Å³/atom
* DFT total energy: -236.34 eV per cell


[2]
Na4Zr2TiC4O16: optimized geometry, PBE.

The structure in CIF format:
```
data_Na4Zr2TiC4O16
_cell_length_a 6.158
_cell_length_b 6.158
_cell_length_c 18.197
_cell_angle_alpha 93.40
_cell_angle_beta 93.40
_cell_angle_gamma 66.25
_symmetry_space_group_name_H-M 'P 1'
_symmetry_Int_Tables_number 1
loop_
_symmetry_equiv_pos_as_xyz
'x,y,z'
loop_
_atom_site_label
_atom_site_fract_x
_atom_site_fract_y
_atom_site_fract_z
Na1 0.043 0.162 0.082
Na2 0.162 0.043 0.582
Na3 0.285 0.459 0.434
Na4 0.459 0.285 0.934
Na5 0.541 0.715 0.066
Na6 0.715 0.541 0.566
Na7 0.838 0.957 0.418
Na8 0.957 0.838 0.918
Zr1 0.120 0.496 0.752
Zr2 0.496 0.120 0.252
Zr3 0.504 0.880 0.748
Zr4 0.880 0.504 0.248
Ti1 0.193 0.807 0.250
Ti2 0.807 0.193 0.750
C1 0.002 0.298 0.899
C2 0.240 0.570 0.617
C3 0.298 0.002 0.399
C4 0.430 0.760 0.883
C5 0.570 0.240 0.117
C6 0.702 0.998 0.601
C7 0.760 0.430 0.383
C8 0.998 0.702 0.101
O1 0.075 0.443 0.868
O2 0.086 0.224 0.962
O3 0.112 0.448 0.627
O4 0.132 0.139 0.240
O5 0.139 0.132 0.740
O6 0.154 0.770 0.135
O7 0.224 0.086 0.462
O8 0.230 0.846 0.365
O9 0.243 0.485 0.263
O10 0.288 0.670 0.678
O11 0.307 0.595 0.555
O12 0.330 0.712 0.822
O13 0.405 0.693 0.945
O14 0.443 0.075 0.368
O15 0.448 0.112 0.127
O16 0.485 0.243 0.763
O17 0.515 0.757 0.237
O18 0.552 0.888 0.873
O19 0.557 0.925 0.632
O20 0.595 0.307 0.055
O21 0.670 0.288 0.178
O22 0.693 0.405 0.445
O23 0.712 0.330 0.322
O24 0.757 0.515 0.737
O25 0.770 0.154 0.635
O26 0.776 0.914 0.538
O27 0.846 0.230 0.865
O28 0.861 0.868 0.260
O29 0.868 0.861 0.760
O30 0.888 0.552 0.373
O31 0.914 0.776 0.038
O32 0.925 0.557 0.132
```

Summary:
* DFT formation energy: -2.59 eV/atom
* corrected total energy (MP2020 scheme): -8.015 eV per atom
* volume: 11.7 Å³/atom
* DFT total energy: -410.81 eV per cell


[3]
Na4UC3O11: optimized geometry, PBE.

The structure in CIF format:
```
data_Na4UC3O11
_cell_length_a 9.427
_cell_length_b 9.437
_cell_length_c 13.215
_cell_angle_alpha 90.23
_cell_angle_beta 90.42
_cell_angle_gamma 119.94
_symmetry_space_group_name_H-M 'P 1'
_symmetry_Int_Tables_number 1
loop_
_symmetry_equiv_pos_as_xyz
'x,y,z'
loop_
_atom_site_label
_atom_site_fract_x
_atom_site_fract_y
_atom_site_fract_z
Na1 0.000 0.000 0.000
Na2 0.000 0.000 0.500
Na3 0.002 0.000 0.250
Na4 0.129 0.692 0.369
Na5 0.130 0.438 0.867
Na6 0.309 0.436 0.375
Na7 0.309 0.873 0.878
Na8 0.435 0.130 0.620
Na9 0.436 0.307 0.120
Na10 0.564 0.693 0.880
Na11 0.565 0.870 0.380
Na12 0.691 0.127 0.122
Na13 0.691 0.564 0.625
Na14 0.870 0.562 0.133
Na15 0.871 0.308 0.631
Na16 0.998 0.000 0.750
U1 0.333 0.668 0.630
U2 0.334 0.666 0.131
U3 0.666 0.334 0.869
U4 0.667 0.332 0.370
C1 0.076 0.747 0.630
C2 0.077 0.330 0.132
C3 0.252 0.331 0.637
C4 0.253 0.922 0.132
C5 0.329 0.254 0.876
C6 0.331 0.075 0.382
C7 0.669 0.925 0.618
C8 0.671 0.746 0.124
C9 0.747 0.078 0.868
C10 0.748 0.669 0.363
C11 0.923 0.670 0.868
C12 0.924 0.253 0.370
O1 0.034 0.819 0.875
O2 0.036 0.215 0.378
O3 0.046 0.596 0.628
O4 0.048 0.451 0.123
O5 0.146 0.380 0.657
O6 0.146 0.768 0.151
O7 0.180 0.216 0.884
O8 0.182 0.964 0.385
O9 0.213 0.182 0.632
O10 0.215 0.033 0.127
O11 0.232 0.857 0.639
O12 0.233 0.376 0.148
O13 0.318 0.655 0.489
O14 0.327 0.660 0.990
O15 0.343 0.672 0.272
O16 0.348 0.681 0.771
O17 0.376 0.145 0.864
O18 0.377 0.231 0.373
O19 0.401 0.451 0.621
O20 0.402 0.950 0.117
O21 0.451 0.405 0.881
O22 0.453 0.047 0.387
O23 0.547 0.953 0.613
O24 0.549 0.595 0.119
O25 0.598 0.050 0.883
O26 0.599 0.549 0.379
O27 0.623 0.769 0.627
O28 0.624 0.855 0.136
O29 0.652 0.319 0.229
O30 0.657 0.328 0.728
O31 0.673 0.340 0.010
O32 0.682 0.345 0.511
O33 0.767 0.624 0.852
O34 0.768 0.143 0.361
O35 0.785 0.967 0.873
O36 0.787 0.818 0.368
O37 0.818 0.036 0.615
O38 0.820 0.784 0.116
O39 0.854 0.232 0.849
O40 0.854 0.620 0.343
O41 0.952 0.549 0.877
O42 0.954 0.404 0.372
O43 0.964 0.785 0.622
O44 0.966 0.181 0.125
```

Summary:
* DFT formation energy: -2.42 eV/atom
* corrected total energy (MP2020 scheme): -7.618 eV per atom
* volume: 13.4 Å³/atom
* DFT total energy: -548.70 eV per cell


[4]
Na4UC3O11: optimized geometry, PBE.

The structure in CIF format:
```
data_Na4UC3O11
_cell_length_a 9.402
_cell_length_b 9.402
_cell_length_c 6.610
_cell_angle_alpha 90.02
_cell_angle_beta 90.02
_cell_angle_gamma 120.10
_symmetry_space_group_name_H-M 'P 1'
_symmetry_Int_Tables_number 1
loop_
_symmetry_equiv_pos_as_xyz
'x,y,z'
loop_
_atom_site_label
_atom_site_fract_x
_atom_site_fract_y
_atom_site_fract_z
Na1 0.002 0.998 0.500
Na2 0.130 0.693 0.273
Na3 0.306 0.435 0.279
Na4 0.435 0.306 0.779
Na5 0.563 0.868 0.216
Na6 0.693 0.130 0.773
Na7 0.868 0.563 0.716
Na8 0.998 0.002 0.000
U1 0.333 0.667 0.751
U2 0.667 0.333 0.251
C1 0.074 0.330 0.727
C2 0.255 0.925 0.737
C3 0.330 0.074 0.227
C4 0.669 0.743 0.782
C5 0.743 0.669 0.282
C6 0.925 0.255 0.237
O1 0.037 0.217 0.234
O2 0.046 0.453 0.744
O3 0.145 0.768 0.713
O4 0.181 0.962 0.228
O5 0.217 0.037 0.734
O6 0.231 0.377 0.709
O7 0.316 0.653 0.032
O8 0.351 0.682 0.470
O9 0.377 0.231 0.209
O10 0.405 0.954 0.765
O11 0.453 0.046 0.244
O12 0.546 0.593 0.753
O13 0.593 0.546 0.253
O14 0.623 0.853 0.808
O15 0.653 0.316 0.532
O16 0.682 0.351 0.970
O17 0.768 0.145 0.213
O18 0.779 0.818 0.285
O19 0.818 0.779 0.785
O20 0.853 0.623 0.308
O21 0.954 0.405 0.265
O22 0.962 0.181 0.728
```

Summary:
* DFT formation energy: -2.42 eV/atom
* corrected total energy (MP2020 scheme): -7.618 eV per atom
* volume: 13.3 Å³/atom
* DFT total energy: -274.36 eV per cell


[5]
Na4UC3O11: optimized geometry, PBE.

The structure in CIF format:
```
data_Na4UC3O11
_cell_length_a 9.435
_cell_length_b 9.435
_cell_length_c 13.215
_cell_angle_alpha 90.00
_cell_angle_beta 90.00
_cell_angle_gamma 120.00
_symmetry_space_group_name_H-M 'P 1'
_symmetry_Int_Tables_number 1
loop_
_symmetry_equiv_pos_as_xyz
'x,y,z'
loop_
_atom_site_label
_atom_site_fract_x
_atom_site_fract_y
_atom_site_fract_z
Na1 0.000 0.000 0.000
Na2 0.000 0.000 0.250
Na3 0.000 0.000 0.500
Na4 0.000 0.000 0.750
Na5 0.129 0.437 0.124
Na6 0.129 0.692 0.624
Na7 0.308 0.437 0.624
Na8 0.308 0.871 0.124
Na9 0.437 0.129 0.376
Na10 0.437 0.308 0.876
Na11 0.563 0.692 0.124
Na12 0.563 0.871 0.624
Na13 0.692 0.129 0.876
Na14 0.692 0.563 0.376
Na15 0.871 0.308 0.376
Na16 0.871 0.563 0.876
U1 0.333 0.667 0.370
U2 0.333 0.667 0.870
U3 0.667 0.333 0.130
U4 0.667 0.333 0.630
C1 0.077 0.330 0.872
C2 0.077 0.747 0.372
C3 0.253 0.330 0.372
C4 0.253 0.923 0.872
C5 0.330 0.077 0.628
C6 0.330 0.253 0.128
C7 0.670 0.747 0.872
C8 0.670 0.923 0.372
C9 0.747 0.077 0.128
C10 0.747 0.670 0.628
C11 0.923 0.253 0.628
C12 0.923 0.670 0.128
O1 0.034 0.215 0.623
O2 0.034 0.819 0.123
O3 0.048 0.451 0.881
O4 0.048 0.596 0.381
O5 0.145 0.377 0.358
O6 0.145 0.768 0.858
O7 0.181 0.215 0.123
O8 0.181 0.966 0.623
O9 0.215 0.034 0.877
O10 0.215 0.181 0.377
O11 0.232 0.377 0.858
O12 0.232 0.855 0.358
O13 0.333 0.667 0.011
O14 0.333 0.667 0.229
O15 0.333 0.667 0.511
O16 0.333 0.667 0.729
O17 0.377 0.145 0.142
O18 0.377 0.232 0.642
O19 0.404 0.451 0.381
O20 0.404 0.952 0.881
O21 0.451 0.048 0.619
O22 0.451 0.404 0.119
O23 0.549 0.596 0.881
O24 0.549 0.952 0.381
O25 0.596 0.048 0.119
O26 0.596 0.549 0.619
O27 0.623 0.768 0.358
O28 0.623 0.855 0.858
O29 0.667 0.333 0.271
O30 0.667 0.333 0.489
O31 0.667 0.333 0.771
O32 0.667 0.333 0.989
O33 0.768 0.145 0.642
O34 0.768 0.623 0.142
O35 0.785 0.819 0.623
O36 0.785 0.966 0.123
O37 0.819 0.034 0.377
O38 0.819 0.785 0.877
O39 0.855 0.232 0.142
O40 0.855 0.623 0.642
O41 0.952 0.404 0.619
O42 0.952 0.549 0.119
O43 0.966 0.181 0.877
O44 0.966 0.785 0.377
```

Summary:
* DFT formation energy: -2.42 eV/atom
* corrected total energy (MP2020 scheme): -7.618 eV per atom
* volume: 13.4 Å³/atom
* DFT total energy: -548.74 eV per cell


[6]
Nb4C3: optimized geometry, PBE.

The structure in CIF format:
```
data_Nb4C3
_cell_length_a 4.471
_cell_length_b 4.471
_cell_length_c 4.471
_cell_angle_alpha 90.00
_cell_angle_beta 90.00
_cell_angle_gamma 90.00
_symmetry_space_group_name_H-M 'P 1'
_symmetry_Int_Tables_number 1
loop_
_symmetry_equiv_pos_as_xyz
'x,y,z'
loop_
_atom_site_label
_atom_site_fract_x
_atom_site_fract_y
_atom_site_fract_z
Nb1 0.000 0.000 0.000
Nb2 0.000 0.500 0.500
Nb3 0.500 0.000 0.500
Nb4 0.500 0.500 0.000
C1 0.000 0.000 0.500
C2 0.000 0.500 0.000
C3 0.500 0.000 0.000
```

Summary:
* DFT formation energy: -0.36 eV/atom
* distance to the lowest polymorph of the same formula: 0.113 eV/atom
* volume: 12.8 Å³/atom
* DFT total energy: -70.62 eV per cell


[7]
NbC: optimized geometry, PBE.

The structure in CIF format:
```
data_NbC
_cell_length_a 3.186
_cell_length_b 3.186
_cell_length_c 3.186
_cell_angle_alpha 60.00
_cell_angle_beta 60.00
_cell_angle_gamma 60.00
_symmetry_space_group_name_H-M 'P 1'
_symmetry_Int_Tables_number 1
loop_
_symmetry_equiv_pos_as_xyz
'x,y,z'
loop_
_atom_site_label
_atom_site_fract_x
_atom_site_fract_y
_atom_site_fract_z
Nb1 0.000 0.000 0.000
C1 0.500 0.500 0.500
```

Summary:
* DFT formation energy: -0.46 eV/atom
* distance to the lowest polymorph of the same formula: 0.000 eV/atom
* volume: 11.4 Å³/atom
* DFT total energy: -20.25 eV per cell


[8]
Nb4C3: optimized geometry, PBE.

The structure in CIF format:
```
data_Nb4C3
_cell_length_a 10.449
_cell_length_b 10.449
_cell_length_c 10.449
_cell_angle_alpha 17.37
_cell_angle_beta 17.37
_cell_angle_gamma 17.37
_symmetry_space_group_name_H-M 'P 1'
_symmetry_Int_Tables_number 1
loop_
_symmetry_equiv_pos_as_xyz
'x,y,z'
loop_
_atom_site_label
_atom_site_fract_x
_atom_site_fract_y
_atom_site_fract_z
Nb1 0.000 0.000 0.000
Nb2 0.165 0.165 0.165
Nb3 0.579 0.579 0.579
Nb4 0.749 0.749 0.749
C1 0.289 0.289 0.289
C2 0.378 0.378 0.378
C3 0.870 0.870 0.870
```

Summary:
* DFT formation energy: -0.44 eV/atom
* distance to the lowest polymorph of the same formula: 0.034 eV/atom
* volume: 12.7 Å³/atom
* DFT total energy: -71.17 eV per cell